# 1
The following is a r2SCAN calculation of an optimized crystal structure of CaMg, from Materials Project.

The space group is Pmma (No. 51) and the conventional cell measures 5.668, 3.905 and 5.671 Å, with angles of 90.00, 90.00 and 90.00 degrees. Symmetry generates all atoms from Ca at (0.250, 0.000, 0.243) and Mg at (0.250, 0.500, 0.740).

The value obtained for the formation energy is -0.071 eV per atom. The total energy comes out at -5.674 eV/atom.

***

# 2
The following is a r2SCAN calculation of an optimized crystal structure of CaMg3, from Materials Project.

The space group is P6_3/mmc (No. 194) and the conventional cell measures 6.8114, 6.8114 and 5.3159 Å, with angles of 90.00, 90.00 and 120.00 degrees. Symmetry generates all atoms from Ca at (0.3333, 0.6667, 0.2500) and Mg at (0.1601, 0.3203, 0.7500).

The value obtained for the formation energy is -0.032 eV per atom. The total energy comes out at -4.919 eV/atom.

***

# 3
The following is a r2SCAN calculation of an optimized crystal structure of Ca5Mg, from Materials Project.

The space group is P-62m (No. 189) and the conventional cell measures 6.6066, 6.6066 and 6.2103 Å, with angles of 90.00, 90.00 and 120.00 degrees. Symmetry generates all atoms from Ca at (0.0000, 0.6781, 0.0000), Ca at (0.3333, 0.6667, 0.5000) and Mg at (0.0000, 0.0000, 0.5000).

For the energy above the lowest structure with this stoichiometry, the calculation gives 0.024 eV/atom. The value obtained for the formation energy is 0.023 eV per atom. The total energy comes out at -6.538 eV/atom.

***

# 4
The following is a r2SCAN calculation of an optimized crystal structure of Ca5Mg, from Materials Project.

The space group is Amm2 (No. 38) and the conventional cell measures 6.188, 3.946 and 19.412 Å, with angles of 90.00, 90.00 and 90.00 degrees. Symmetry generates all atoms from Ca at (0.000, 0.000, 0.000), Ca at (0.000, 0.000, 0.314), Ca at (0.500, 0.000, 0.113), Ca at (0.500, 0.000, 0.441), Ca at (0.500, 0.000, 0.773) and Mg at (0.000, 0.000, 0.659).

For the energy above the lowest structure with this stoichiometry, the calculation gives 0.022 eV/atom. The value obtained for the formation energy is 0.021 eV per atom. The total energy comes out at -6.539 eV/atom.

***

# 5
The following is a r2SCAN calculation of an optimized crystal structure of Ca5Mg, from Materials Project.

The space group is Cm (No. 8) and the conventional cell measures 13.400, 4.018 and 9.451 Å, with angles of 90.00, 110.98 and 90.00 degrees. Symmetry generates all atoms from Ca at (0.000, 0.000, 0.000), Ca at (0.021, 0.000, 0.445), Ca at (0.184, 0.500, 0.839), Ca at (0.211, 0.500, 0.292), Ca at (0.354, 0.000, 0.647) and Mg at (0.353, 0.000, 0.140).

For the energy above the lowest structure with this stoichiometry, the calculation gives 0.000 eV/atom. The value obtained for the formation energy is -0.001 eV per atom. The total energy comes out at -6.562 eV/atom.

***

# 6
The following is a r2SCAN calculation of an optimized crystal structure of CaMg, from Materials Project.

The space group is C2/m (No. 12) and the conventional cell measures 12.372, 3.752 and 5.819 Å, with angles of 90.00, 111.01 and 90.00 degrees. Symmetry generates all atoms from Ca at (0.105, 0.000, 0.330) and Mg at (0.148, 0.500, 0.862).

The value obtained for the formation energy is -0.040 eV per atom. The total energy comes out at -5.644 eV/atom.

***

# 7
The following is a r2SCAN calculation of an optimized crystal structure of CaMg2, from Materials Project.

The space group is R-3m (No. 166, hexagonal axes) and the conventional cell measures 6.2009, 6.2009 and 15.2670 Å, with angles of 90.00, 90.00 and 120.00 degrees. Symmetry generates all atoms from Ca at (0.0000, 0.0000, 0.1247), Mg at (0.0000, 0.0000, 0.5000) and Mg at (0.0000, 0.5000, 0.0000).

The value obtained for the formation energy is -0.117 eV per atom. The total energy comes out at -5.243 eV/atom.

***

# 8
The following is a r2SCAN calculation of an optimized crystal structure of CaMg, from Materials Project.

The space group is P4/mmm (No. 123) and the conventional cell measures 4.027, 4.027 and 3.862 Å, with angles of 90.00, 90.00 and 90.00 degrees. Symmetry generates all atoms from Ca at (0.000, 0.000, 0.000) and Mg at (0.500, 0.500, 0.500).

The value obtained for the formation energy is -0.064 eV per atom. The total energy comes out at -5.668 eV/atom.

***

What did the sixth record say?
The following is a r2SCAN calculation of an optimized crystal structure of CaMg, from Materials Project.

The space group is C2/m (No. 12) and the conventional cell measures 12.372, 3.752 and 5.819 Å, with angles of 90.00, 111.01 and 90.00 degrees. Symmetry generates all atoms from Ca at (0.105, 0.000, 0.330) and Mg at (0.148, 0.500, 0.862).

The value obtained for the formation energy is -0.040 eV per atom. The total energy comes out at -5.644 eV/atom.